(1)
A plane-wave DFT calculation with GGA+U was carried out for a geometry-optimized FePH4O6 structure.

a b c (Å): 5.364 9.921 10.301
angles (deg): 90.00 120.94 90.00
Element x y z (fractional)
1 Fe 0.098 0.174 0.191
2 Fe 0.098 0.326 0.691
3 Fe 0.902 0.674 0.309
4 Fe 0.902 0.826 0.809
5 P 0.273 0.649 0.684
6 P 0.273 0.851 0.184
7 P 0.727 0.149 0.816
8 P 0.727 0.351 0.316
9 H 0.123 0.044 0.782
10 H 0.123 0.456 0.282
11 H 0.256 0.169 0.488
12 H 0.256 0.331 0.988
13 H 0.402 0.551 0.328
14 H 0.402 0.949 0.828
15 H 0.458 0.652 0.018
16 H 0.458 0.848 0.518
17 H 0.542 0.152 0.482
18 H 0.542 0.348 0.982
19 H 0.598 0.051 0.172
20 H 0.598 0.449 0.672
21 H 0.744 0.669 0.012
22 H 0.744 0.831 0.512
23 H 0.877 0.544 0.718
24 H 0.877 0.956 0.218
25 O 0.100 0.674 0.767
26 O 0.100 0.826 0.267
27 O 0.119 0.720 0.529
28 O 0.119 0.780 0.029
29 O 0.210 0.547 0.321
30 O 0.210 0.953 0.821
31 O 0.291 0.006 0.169
32 O 0.291 0.494 0.669
33 O 0.333 0.134 0.426
34 O 0.333 0.366 0.926
35 O 0.417 0.206 0.716
36 O 0.417 0.294 0.216
37 O 0.583 0.706 0.784
38 O 0.583 0.794 0.284
39 O 0.667 0.634 0.074
40 O 0.667 0.866 0.574
41 O 0.709 0.506 0.331
42 O 0.709 0.994 0.831
43 O 0.790 0.047 0.179
44 O 0.790 0.453 0.679
45 O 0.881 0.220 0.971
46 O 0.881 0.280 0.471
47 O 0.900 0.174 0.733
48 O 0.900 0.326 0.233

Summary:
As for the crystal system: monoclinic. The value obtained for the total energy is -6.04 eV/atom. As for the total magnetization: 5.0 μB/f.u. The distance to the lowest polymorph of the same formula is 2 meV per atom. The space group is No. 14.

***

(2)
A plane-wave DFT calculation with GGA+U was carried out for a geometry-optimized FeP2H8O10 structure.

a b c (Å): 5.405 10.097 8.762
angles (deg): 90.00 123.95 90.00
Element x y z (fractional)
1 Fe 0.000 0.000 0.000
2 Fe 0.000 0.500 0.500
3 P 0.092 0.217 0.338
4 P 0.092 0.283 0.838
5 P 0.908 0.717 0.162
6 P 0.908 0.783 0.662
7 H 0.118 0.723 0.009
8 H 0.118 0.777 0.509
9 H 0.403 0.079 0.829
10 H 0.403 0.421 0.329
11 H 0.408 0.546 0.226
12 H 0.408 0.954 0.726
13 H 0.441 0.107 0.592
14 H 0.441 0.393 0.092
15 H 0.559 0.607 0.908
16 H 0.559 0.893 0.408
17 H 0.592 0.046 0.274
18 H 0.592 0.454 0.774
19 H 0.597 0.579 0.671
20 H 0.597 0.921 0.171
21 H 0.882 0.223 0.491
22 H 0.882 0.277 0.991
23 O 0.021 0.674 0.358
24 O 0.021 0.826 0.858
25 O 0.143 0.134 0.872
26 O 0.143 0.366 0.372
27 O 0.144 0.670 0.118
28 O 0.144 0.830 0.618
29 O 0.391 0.138 0.468
30 O 0.391 0.362 0.968
31 O 0.479 0.537 0.715
32 O 0.479 0.963 0.215
33 O 0.521 0.037 0.785
34 O 0.521 0.463 0.285
35 O 0.609 0.638 0.032
36 O 0.609 0.862 0.532
37 O 0.856 0.170 0.382
38 O 0.856 0.330 0.882
39 O 0.857 0.634 0.628
40 O 0.857 0.866 0.128
41 O 0.979 0.174 0.142
42 O 0.979 0.326 0.642

Summary:
As for the crystal system: monoclinic. The value obtained for the total energy is -5.94 eV/atom. As for the total magnetization: 4.0 μB/f.u. The distance to the lowest polymorph of the same formula is 0 meV per atom. The space group is No. 14.

***

(3)
A plane-wave DFT calculation with GGA+U was carried out for a geometry-optimized Fe4P3H3O15 structure.

a b c (Å): 10.624 10.624 7.564
angles (deg): 101.65 101.65 41.37
Element x y z (fractional)
1 Fe 0.148 0.700 0.844
2 Fe 0.300 0.852 0.656
3 Fe 0.320 0.342 0.148
4 Fe 0.342 0.320 0.648
5 Fe 0.658 0.680 0.352
6 Fe 0.680 0.658 0.852
7 Fe 0.700 0.148 0.344
8 Fe 0.852 0.300 0.156
9 P 0.033 0.305 0.587
10 P 0.305 0.033 0.087
11 P 0.387 0.613 0.250
12 P 0.613 0.387 0.750
13 P 0.695 0.967 0.913
14 P 0.967 0.695 0.413
15 H 0.008 0.992 0.250
16 H 0.088 0.505 0.876
17 H 0.495 0.912 0.624
18 H 0.505 0.088 0.376
19 H 0.912 0.495 0.124
20 H 0.992 0.008 0.750
21 O 0.074 0.554 0.247
22 O 0.111 0.115 0.605
23 O 0.112 0.604 0.585
24 O 0.115 0.111 0.105
25 O 0.122 0.878 0.750
26 O 0.197 0.271 0.564
27 O 0.209 0.464 0.901
28 O 0.247 0.713 0.083
29 O 0.271 0.197 0.064
30 O 0.287 0.753 0.417
31 O 0.396 0.888 0.915
32 O 0.428 0.447 0.760
33 O 0.446 0.926 0.253
34 O 0.447 0.428 0.260
35 O 0.464 0.209 0.401
36 O 0.536 0.791 0.599
37 O 0.553 0.572 0.740
38 O 0.554 0.074 0.747
39 O 0.572 0.553 0.240
40 O 0.604 0.112 0.085
41 O 0.713 0.247 0.583
42 O 0.729 0.803 0.936
43 O 0.753 0.287 0.917
44 O 0.791 0.536 0.099
45 O 0.803 0.729 0.436
46 O 0.878 0.122 0.250
47 O 0.885 0.889 0.895
48 O 0.888 0.396 0.415
49 O 0.889 0.885 0.395
50 O 0.926 0.446 0.753

Summary:
As for the crystal system: monoclinic. The value obtained for the total energy is -6.70 eV/atom. As for the total magnetization: 0.0 μB/f.u. The space group is No. 15.